The following is a GGA-PBE calculation of a relaxed structure of EuBN2, from Materials Project.

Output
ΔE_f = -1.233 eV/atom

Cell and atoms, written as CIF:
```
data_EuBN2
_cell_length_a 12.0407
_cell_length_b 12.0407
_cell_length_c 7.0242
_cell_angle_alpha 90.00
_cell_angle_beta 90.00
_cell_angle_gamma 120.00
_space_group_name_H-M_alt 'R -3 c'
_space_group_IT_number 167
_space_group_name_Hall '-R 3 2"c'
loop_
_atom_site_label
_atom_site_type_symbol
_atom_site_fract_x
_atom_site_fract_y
_atom_site_fract_z
Eu1 Eu 0.0000 0.4496 0.2500
B1 B 0.0000 0.1211 0.2500
N1 N 0.0000 0.1231 0.7500
N2 N 0.0000 0.2428 0.2500
```